Entry 1:
The following is a DFT calculation (PBE-GGA) of TiClO after structural relaxation.

```
TiClO
1.0
3.269 0.000 0.000
0.000 3.974 0.000
0.000 0.000 8.210
O Cl Ti
2 2 2
direct
0.000 0.000 0.938
0.500 0.500 0.062
0.000 0.000 0.319
0.500 0.500 0.681
0.500 0.000 0.103
0.000 0.500 0.897
```

Summary:
Space-group type: Pmmn
Crystal system: orthorhombic
Formation energy in eV per formula unit: -7.576



Entry 2:
The following is a DFT calculation (PBE-GGA) of TmTiClO3 after structural relaxation.

```
TmTiClO3
1.0
-3.110 -4.185 0.889
-1.832 -2.622 4.212
-8.883 3.634 1.706
O Tm Cl Ti
6 2 2 2
direct
0.079 0.079 0.373
0.848 0.848 0.247
0.921 0.921 0.627
0.332 0.332 0.432
0.152 0.152 0.753
0.668 0.668 0.568
0.723 0.723 0.795
0.277 0.277 0.205
0.616 0.616 0.093
0.384 0.384 0.907
0.118 0.118 0.573
0.882 0.882 0.427
```

Summary:
Space-group type: C2/m
Crystal system: monoclinic
Formation energy in eV per formula unit: -20.682



Entry 3:
The following is a DFT calculation (PBE-GGA) of TmClO after structural relaxation.

```
TmClO
1.0
-2.066 -2.782 -1.318
-0.842 -1.215 3.883
-7.409 5.454 0.100
O Tm Cl
2 2 2
direct
0.500 0.500 0.031
0.000 0.000 0.969
0.500 0.000 0.112
0.000 0.500 0.888
0.000 0.000 0.317
0.500 0.500 0.683
```

Summary:
Space-group type: Pmmn
Crystal system: orthorhombic
Formation energy in eV per formula unit: -10.034